Here is Nd2SnS5 after structural relaxation from the Materials Project. Energies are from PBE.

Cell and atoms, written as POSCAR:
```
Nd2SnS5
1.0
7.875 0.000 0.000
0.000 11.343 0.000
0.000 0.000 3.969
Nd Sn S
4 2 10
Cartesian
0.479 1.930 0.000
3.459 7.602 0.000
4.416 3.741 0.000
7.396 9.413 0.000
0.000 5.672 1.985
3.938 0.000 1.985
0.000 0.000 1.985
1.217 7.951 1.985
1.454 4.789 0.000
2.483 10.461 0.000
2.721 2.279 1.985
3.938 5.672 1.985
5.155 9.064 1.985
5.392 0.883 0.000
6.421 6.555 0.000
6.658 3.393 1.985
```

Values from the calculation:
Corrected total energy (MP2020 scheme) ... -96.34 eV for the cell shown
Calculated formation energy ... -1.743 eV per atom
Energy ... -5.71 eV/atom
Calculated volume ... 22.2 Å³/atom


Here is La2Ni2I after structural relaxation from the Materials Project. Energies are from PBE.

Cell and atoms, written as POSCAR:
```
La2Ni2I
1.0
4.163 0.000 0.000
-2.081 3.605 0.000
0.000 0.000 8.918
La Ni I
2 2 1
Cartesian
0.000 0.000 1.877
0.000 0.000 7.041
0.000 2.403 0.000
2.081 1.202 0.000
2.081 1.202 4.459
```

Values from the calculation:
Corrected total energy (MP2020 scheme) ... -26.99 eV for the cell shown
Calculated formation energy ... -0.807 eV per atom
Energy ... -5.32 eV/atom
Calculated volume ... 26.8 Å³/atom


Here is Sc3TaO7 after structural relaxation from the Materials Project. Energies are from PBE.

Cell and atoms, written as POSCAR:
```
Sc3TaO7
1.0
3.580 -6.873 0.000
3.580 6.873 0.000
0.000 0.000 5.103
Sc Ta O
6 2 14
Cartesian
1.790 3.436 2.551
3.580 5.144 4.962
3.580 1.728 4.962
1.790 -3.436 2.551
3.580 -1.728 0.141
3.580 -5.144 0.141
1.790 0.000 2.551
5.370 0.000 2.551
3.580 6.577 3.673
1.458 1.750 3.787
2.121 1.750 1.316
3.580 3.436 3.756
1.458 -1.750 1.316
2.121 -1.750 3.787
3.580 0.296 3.673
3.580 -0.296 1.430
5.038 1.750 1.316
5.701 1.750 3.787
3.580 -3.436 1.347
5.038 -1.750 3.787
5.701 -1.750 1.316
3.580 -6.577 1.430
```

Values from the calculation:
Corrected total energy (MP2020 scheme) ... -210.45 eV for the cell shown
Calculated formation energy ... -3.612 eV per atom
Energy ... -9.13 eV/atom
Calculated volume ... 11.4 Å³/atom


The highest corrected total energy (MP2020 scheme) belongs to which entry?
La2Ni2I


What is the formula in the second record?
La2Ni2I


calculated volume of number 3 (Sc3TaO7)?
11.4 Å³/atom


Look up the energy of the second one.
-5.32 eV/atom